A plane-wave DFT calculation with PBE+U was carried out for crystalline MnAgO4 at its relaxed geometry. Values from VASP.

Geometry as Quantum ESPRESSO input:
```
&SYSTEM
  ibrav = 0, nat = 24, ntyp = 3
/
ATOMIC_SPECIES
Mn 54.94 Mn.upf
Ag 107.87 Ag.upf
O 16.00 O.upf
CELL_PARAMETERS angstrom
-8.258 -4.450 -0.872
0.316 -1.732 5.844
-2.897 4.063 6.704
ATOMIC_POSITIONS crystal
Mn 0.018 0.760 0.445
Mn 0.482 0.760 0.945
Mn 0.982 0.240 0.555
Mn 0.518 0.240 0.055
Ag 0.363 0.659 0.514
Ag 0.137 0.659 0.014
Ag 0.637 0.341 0.486
Ag 0.863 0.341 0.986
O 0.449 0.839 0.701
O 0.148 0.651 0.612
O 0.446 0.093 0.683
O 0.554 0.907 0.317
O 0.946 0.907 0.817
O 0.054 0.093 0.183
O 0.551 0.161 0.299
O 0.639 0.738 0.030
O 0.051 0.839 0.201
O 0.361 0.262 0.970
O 0.648 0.349 0.888
O 0.352 0.651 0.112
O 0.852 0.349 0.388
O 0.139 0.262 0.470
O 0.949 0.161 0.799
O 0.861 0.738 0.530
```

Summary:
* SG: No. 14
* formation enthalpy at 0 K: -1.299 eV per formula unit

A plane-wave DFT calculation with PBE+U was carried out for crystalline MnAgO4 at its relaxed geometry. Values from VASP.

Geometry as Quantum ESPRESSO input:
```
&SYSTEM
  ibrav = 0, nat = 24, ntyp = 3
/
ATOMIC_SPECIES
Mn 54.94 Mn.upf
Ag 107.87 Ag.upf
O 16.00 O.upf
CELL_PARAMETERS angstrom
-0.431 -1.070 -6.057
-6.687 -2.364 0.894
-2.851 7.634 -1.145
ATOMIC_POSITIONS crystal
Mn 0.750 0.156 0.526
Mn 0.250 0.656 0.974
Mn 0.250 0.844 0.474
Mn 0.750 0.344 0.026
Ag 0.750 0.828 0.200
Ag 0.250 0.328 0.300
Ag 0.250 0.172 0.800
Ag 0.750 0.672 0.700
O 0.750 0.973 0.644
O 0.250 0.473 0.856
O 0.250 0.027 0.356
O 0.750 0.527 0.144
O 0.750 0.086 0.337
O 0.250 0.586 0.163
O 0.250 0.914 0.663
O 0.750 0.414 0.837
O 0.533 0.280 0.559
O 0.033 0.780 0.941
O 0.467 0.720 0.441
O 0.967 0.220 0.059
O 0.967 0.280 0.559
O 0.467 0.780 0.941
O 0.033 0.720 0.441
O 0.533 0.220 0.059
```

Summary:
* SG: No. 62
* formation enthalpy at 0 K: -5.017 eV per formula unit

A plane-wave DFT calculation with PBE+U was carried out for crystalline MnAgO2 at its relaxed geometry. Values from VASP.

Geometry as Quantum ESPRESSO input:
```
&SYSTEM
  ibrav = 0, nat = 16, ntyp = 3
/
ATOMIC_SPECIES
Mn 54.94 Mn.upf
Ag 107.87 Ag.upf
O 16.00 O.upf
CELL_PARAMETERS angstrom
0.102 1.891 2.594
4.490 1.808 -2.063
-6.410 8.845 -6.198
ATOMIC_POSITIONS crystal
Mn 0.499 0.500 0.500
Mn 0.001 0.000 0.000
Mn 0.999 0.000 0.500
Mn 0.501 0.500 0.000
Ag 0.054 0.312 0.250
Ag 0.554 0.812 0.250
Ag 0.446 0.188 0.750
Ag 0.946 0.688 0.750
O 0.041 0.319 0.082
O 0.540 0.819 0.082
O 0.462 0.181 0.918
O 0.960 0.681 0.918
O 0.459 0.181 0.582
O 0.960 0.681 0.582
O 0.038 0.319 0.418
O 0.539 0.819 0.418
```

Summary:
* formation enthalpy at 0 K: -5.734 eV per formula unit

A plane-wave DFT calculation with PBE+U was carried out for crystalline MnAgO4 at its relaxed geometry. Values from VASP.

Geometry as Quantum ESPRESSO input:
```
&SYSTEM
  ibrav = 0, nat = 24, ntyp = 3
/
ATOMIC_SPECIES
Mn 54.94 Mn.upf
Ag 107.87 Ag.upf
O 16.00 O.upf
CELL_PARAMETERS angstrom
8.409 0.000 0.000
0.000 5.634 0.000
0.000 5.322 7.160
ATOMIC_POSITIONS crystal
Mn 0.688 0.403 0.839
Mn 0.812 0.403 0.339
Mn 0.188 0.597 0.661
Mn 0.312 0.597 0.161
Ag 0.967 0.914 0.835
Ag 0.533 0.914 0.335
Ag 0.467 0.086 0.665
Ag 0.033 0.086 0.165
O 0.852 0.206 0.907
O 0.724 0.731 0.784
O 0.442 0.763 0.993
O 0.942 0.237 0.507
O 0.058 0.763 0.493
O 0.276 0.269 0.216
O 0.558 0.237 0.007
O 0.383 0.563 0.344
O 0.117 0.563 0.844
O 0.148 0.794 0.093
O 0.883 0.437 0.156
O 0.224 0.269 0.716
O 0.776 0.731 0.284
O 0.352 0.794 0.593
O 0.617 0.437 0.656
O 0.648 0.206 0.407
```

Summary:
* SG: No. 14
* formation enthalpy at 0 K: -5.344 eV per formula unit

A plane-wave DFT calculation with PBE+U was carried out for crystalline MnAgO2 at its relaxed geometry. Values from VASP.

Geometry as Quantum ESPRESSO input:
```
&SYSTEM
  ibrav = 0, nat = 8, ntyp = 3
/
ATOMIC_SPECIES
Mn 54.94 Mn.upf
Ag 107.87 Ag.upf
O 16.00 O.upf
CELL_PARAMETERS angstrom
-1.731 1.535 2.105
3.100 0.409 -0.073
-1.432 9.421 -8.050
ATOMIC_POSITIONS crystal
Mn 0.000 0.000 0.500
Mn 0.000 0.000 0.000
Ag 0.333 0.667 0.250
Ag 0.667 0.333 0.750
O 0.333 0.667 0.081
O 0.667 0.333 0.919
O 0.667 0.333 0.581
O 0.333 0.667 0.419
```

Summary:
* SG: No. 194
* formation enthalpy at 0 K: -5.559 eV per formula unit

A plane-wave DFT calculation with PBE+U was carried out for crystalline MnAgO2 at its relaxed geometry. Values from VASP.

Geometry as Quantum ESPRESSO input:
```
&SYSTEM
  ibrav = 0, nat = 8, ntyp = 3
/
ATOMIC_SPECIES
Mn 54.94 Mn.upf
Ag 107.87 Ag.upf
O 16.00 O.upf
CELL_PARAMETERS angstrom
-3.032 0.000 0.744
1.425 2.677 -0.744
-3.004 0.017 -12.238
ATOMIC_POSITIONS crystal
Mn 0.750 0.500 0.750
Mn 0.250 0.500 0.250
Ag 0.000 0.000 0.000
Ag 0.500 0.000 0.500
O 0.944 0.887 0.169
O 0.443 0.887 0.670
O 0.556 0.113 0.331
O 0.057 0.113 0.830
```

Summary:
* formation enthalpy at 0 K: -5.560 eV per formula unit